(1)
A plane-wave DFT calculation with PBE+U was carried out for an optimized crystal structure of V2O5.

Output
For the electronic total energy, the calculation gives -7.327 eV per atom. The calculation puts the energy of formation at -1.80 eV per atom. As for the space-group type: No. 1. For the total magnetic moment, the calculation gives 2.0 μB/cell.

Unit cell a=12.493 b=12.149 c=12.722 alpha=87.73 beta=87.56 gamma=96.90
Atoms (fractional coordinates):
V: 0.715 0.250 0.105
V: 0.675 0.002 0.858
O: 0.202 0.886 0.573
O: 0.888 0.738 0.941
O: 0.031 0.036 0.909
O: 0.617 0.927 0.202
O: 0.286 0.950 0.354
V: 0.383 0.444 0.151
V: 0.846 0.058 0.508
O: 0.697 0.161 0.856
O: 0.678 0.640 0.932
O: 0.047 0.487 0.800
O: 0.623 0.971 0.748
O: 0.203 0.226 0.950
O: 0.164 0.905 0.988
O: 0.740 0.880 0.903
O: 0.372 0.479 0.486
O: 0.063 0.857 0.374
O: 0.819 0.928 0.596
O: 0.700 0.474 0.390
O: 0.983 0.302 0.927
O: 0.360 0.756 0.631
O: 0.237 0.273 0.663
V: 0.063 0.985 0.050
V: 0.485 0.034 0.065
V: 0.718 0.305 0.854
O: 0.386 0.700 0.404
V: 0.221 0.982 0.670
V: 0.775 0.867 0.313
O: 0.151 0.640 0.602
O: 0.969 0.773 0.557
O: 0.053 0.123 0.100
O: 0.685 0.776 0.385
V: 0.150 0.955 0.310
V: 0.950 0.724 0.416
O: 0.845 0.196 0.098
O: 0.183 0.317 0.274
O: 0.012 0.205 0.750
V: 0.982 0.049 0.787
V: 0.367 0.397 0.604
O: 0.023 0.630 0.383
O: 0.266 0.474 0.685
V: 0.236 0.760 0.663
O: 0.567 0.987 0.953
O: 0.348 0.538 0.261
O: 0.271 0.717 0.973
O: 0.562 0.164 0.641
V: 0.985 0.241 0.064
O: 0.576 0.726 0.107
V: 0.983 0.347 0.794
V: 0.159 0.545 0.710
O: 0.400 0.316 0.875
V: 0.778 0.747 0.880
O: 0.612 0.146 0.092
O: 0.022 0.340 0.139
O: 0.356 0.309 0.104
V: 0.192 0.608 0.064
O: 0.073 0.571 0.025
O: 0.494 0.395 0.249
V: 0.605 0.611 0.060
O: 0.623 0.362 0.801
O: 0.985 0.907 0.733
O: 0.060 0.369 0.649
O: 0.484 0.521 0.057
V: 0.894 0.833 0.653
O: 0.457 0.051 0.222
V: 0.396 0.059 0.340
O: 0.331 0.180 0.345
O: 0.826 0.987 0.378
O: 0.150 0.950 0.176
O: 0.120 0.074 0.678
O: 0.683 0.546 0.155
V: 0.458 0.141 0.572
O: 0.197 0.728 0.153
O: 0.407 0.266 0.544
O: 0.399 0.113 0.005
O: 0.473 0.435 0.665
O: 0.824 0.650 0.457
O: 0.227 0.878 0.765
O: 0.721 0.343 0.992
O: 0.560 0.590 0.340
O: 0.849 0.046 0.802
V: 0.625 0.452 0.266
O: 0.379 0.899 0.078
O: 0.718 0.910 0.181
O: 0.151 0.254 0.484
O: 0.262 0.494 0.080
V: 0.193 0.217 0.358
O: 0.480 0.067 0.448
V: 0.334 0.246 0.975
O: 0.811 0.737 0.736
O: 0.622 0.597 0.552
O: 0.696 0.324 0.213
V: 0.416 0.579 0.374
O: 0.350 0.057 0.651
O: 0.951 0.911 0.087
O: 0.751 0.136 0.523
V: 0.256 0.827 0.054
O: 0.965 0.127 0.543
V: 0.111 0.241 0.625
O: 0.213 0.656 0.781
V: 0.679 0.609 0.436
O: 0.849 0.358 0.776
O: 0.109 0.088 0.334
O: 0.882 0.789 0.297

---

(2)
A plane-wave DFT calculation with PBE+U was carried out for an optimized crystal structure of VO2.

Output
For the electronic total energy, the calculation gives -7.781 eV per atom. The calculation puts the energy of formation at -2.48 eV per atom. As for the space-group type: No. 14. For the total magnetic moment, the calculation gives 4.0 μB/cell.

Unit cell a=4.505 b=5.434 c=5.436 alpha=67.99 beta=90.00 gamma=90.00
Atoms (fractional coordinates):
O: 0.702 0.599 0.100
O: 0.202 0.901 0.900
V: 0.496 0.255 0.249
O: 0.299 0.899 0.401
V: 0.504 0.745 0.751
V: 0.004 0.755 0.249
V: 0.996 0.245 0.751
O: 0.201 0.399 0.401
O: 0.798 0.099 0.100
O: 0.799 0.601 0.599
O: 0.701 0.101 0.599
O: 0.298 0.401 0.900

---

(3)
A plane-wave DFT calculation with PBE+U was carried out for an optimized crystal structure of V2O5.

Output
For the electronic total energy, the calculation gives -7.375 eV per atom. The calculation puts the energy of formation at -2.22 eV per atom. As for the space-group type: No. 1. For the total magnetic moment, the calculation gives 0.0 μB/cell.

Unit cell a=13.012 b=11.842 c=11.922 alpha=83.16 beta=84.53 gamma=89.21
Atoms (fractional coordinates):
O: 0.741 0.243 0.599
V: 0.807 0.831 0.992
O: 0.254 0.147 0.981
O: 0.053 0.958 0.720
V: 0.157 0.261 0.009
O: 0.599 0.593 0.751
V: 0.154 0.364 0.436
O: 0.912 0.143 0.737
O: 0.316 0.948 0.957
V: 0.566 0.214 0.761
O: 0.108 0.178 0.626
O: 0.251 0.742 0.170
O: 0.655 0.947 0.418
V: 0.390 0.137 0.985
V: 0.536 0.891 0.007
O: 0.751 0.169 0.385
O: 0.291 0.394 0.461
O: 0.608 0.357 0.760
V: 0.355 0.681 0.125
V: 0.726 0.609 0.507
O: 0.165 0.224 0.376
O: 0.914 0.496 0.988
O: 0.235 0.358 0.045
O: 0.027 0.306 0.047
V: 0.464 0.021 0.621
O: 0.191 0.806 0.599
O: 0.807 0.610 0.376
V: 0.952 0.927 0.330
O: 0.139 0.161 0.162
O: 0.927 0.154 0.514
O: 0.751 0.005 0.595
V: 0.162 0.109 0.295
O: 0.350 0.727 0.959
O: 0.408 0.629 0.260
V: 0.830 0.721 0.255
O: 0.641 0.129 0.829
O: 0.982 0.347 0.722
O: 0.140 0.459 0.331
O: 0.854 0.917 0.860
O: 0.868 0.897 0.077
O: 0.170 0.419 0.624
O: 0.213 0.830 0.822
O: 0.284 0.041 0.295
V: 0.614 0.418 0.187
O: 0.258 0.597 0.648
V: 0.994 0.231 0.616
O: 0.069 0.517 0.823
O: 0.009 0.055 0.925
O: 0.550 0.735 0.350
O: 0.806 0.683 0.117
O: 0.479 0.951 0.284
O: 0.405 0.243 0.066
O: 0.673 0.874 0.006
O: 0.023 0.350 0.503
V: 0.911 0.375 0.102
O: 0.854 0.694 0.916
O: 0.513 0.421 0.094
O: 0.938 0.419 0.218
V: 0.761 0.577 0.996
V: 0.122 0.829 0.727
O: 0.481 0.028 0.033
V: 0.792 0.146 0.524
O: 0.719 0.749 0.549
O: 0.374 0.984 0.729
V: 0.385 0.414 0.042
O: 0.555 0.909 0.626
V: 0.989 0.620 0.905
O: 0.896 0.900 0.458
V: 0.955 0.021 0.816
O: 0.527 0.150 0.638
O: 0.498 0.870 0.877
O: 0.347 0.822 0.440
O: 0.154 0.297 0.856
V: 0.777 0.138 0.238
O: 0.443 0.195 0.849
V: 0.345 0.853 0.871
O: 0.471 0.789 0.099
O: 0.883 0.036 0.256
O: 0.385 0.767 0.674
V: 0.314 0.473 0.576
O: 0.609 0.564 0.489
O: 0.028 0.726 0.775
V: 0.496 0.613 0.365
O: 0.768 0.517 0.623
O: 0.412 0.039 0.488
O: 0.689 0.071 0.188
O: 0.409 0.448 0.908
O: 0.648 0.636 0.999
O: 0.057 0.662 0.997
O: 0.742 0.814 0.281
V: 0.680 0.489 0.753
O: 0.579 0.507 0.292
O: 0.743 0.456 0.112
O: 0.397 0.600 0.496
O: 0.075 0.997 0.344
V: 0.318 0.724 0.578
O: 0.951 0.794 0.269
O: 0.830 0.248 0.133
V: 0.096 0.397 0.756
O: 0.626 0.288 0.245
O: 0.328 0.535 0.099
V: 0.380 0.959 0.374
O: 0.750 0.497 0.872
V: 0.680 0.898 0.544
O: 0.388 0.398 0.657

---

(4)
A plane-wave DFT calculation with PBE+U was carried out for an optimized crystal structure of VO2.

Output
For the electronic total energy, the calculation gives -7.722 eV per atom. The calculation puts the energy of formation at -2.42 eV per atom. As for the space-group type: No. 14. For the total magnetic moment, the calculation gives 4.0 μB/cell.

Unit cell a=2.932 b=4.920 c=9.653 alpha=90.01 beta=92.91 gamma=90.00
Atoms (fractional coordinates):
O: 0.232 0.841 0.227
V: 0.772 0.461 0.636
V: 0.228 0.539 0.364
O: 0.738 0.800 0.964
O: 0.262 0.200 0.036
O: 0.768 0.341 0.273
O: 0.231 0.659 0.727
V: 0.772 0.039 0.136
O: 0.769 0.159 0.773
O: 0.738 0.700 0.464
O: 0.262 0.300 0.536
V: 0.228 0.961 0.864

---

(5)
A plane-wave DFT calculation with PBE+U was carried out for an optimized crystal structure of V2O5.

Output
For the electronic total energy, the calculation gives -7.327 eV per atom. The calculation puts the energy of formation at -1.80 eV per atom. As for the space-group type: No. 1. For the total magnetic moment, the calculation gives 2.0 μB/cell.

Unit cell a=13.048 b=13.013 c=11.887 alpha=90.15 beta=94.02 gamma=86.88
Atoms (fractional coordinates):
O: 0.603 0.757 0.847
O: 0.351 0.120 0.355
V: 0.427 0.186 0.914
V: 0.846 0.503 0.944
V: 0.276 0.679 0.332
V: 0.435 0.829 0.183
O: 0.529 0.106 0.253
O: 0.216 0.911 0.356
V: 0.678 0.207 0.937
O: 0.820 0.089 0.546
O: 0.772 0.848 0.347
V: 0.040 0.652 0.019
O: 0.243 0.942 0.583
O: 0.217 0.013 0.794
O: 0.312 0.464 0.833
O: 0.548 0.484 0.418
O: 0.297 0.454 0.089
O: 0.751 0.402 0.411
O: 0.970 0.870 0.263
O: 0.380 0.959 0.204
V: 0.295 0.027 0.694
O: 0.004 0.062 0.785
V: 0.896 0.781 0.328
O: 0.623 0.775 0.475
V: 0.132 0.181 0.524
O: 0.157 0.701 0.272
O: 0.405 0.107 0.772
O: 0.438 0.803 0.051
O: 0.298 0.741 0.466
O: 0.626 0.191 0.516
O: 0.991 0.260 0.275
O: 0.813 0.574 0.557
V: 0.956 0.904 0.108
V: 0.295 0.882 0.464
O: 0.827 0.483 0.095
O: 0.842 0.975 0.721
O: 0.178 0.086 0.985
V: 0.508 0.995 0.784
V: 0.757 0.887 0.744
V: 0.642 0.860 0.381
O: 0.935 0.735 0.467
O: 0.792 0.838 0.877
O: 0.245 0.143 0.612
O: 0.561 0.834 0.255
V: 0.084 0.005 0.898
O: 0.411 0.931 0.704
O: 0.710 0.655 0.046
O: 0.135 0.649 0.940
V: 0.356 0.418 0.978
O: 0.665 0.542 0.239
O: 0.410 0.116 0.022
V: 0.130 0.530 0.277
O: 0.923 0.608 0.940
O: 0.418 0.930 0.431
V: 0.804 0.438 0.549
O: 0.101 0.883 0.876
V: 0.622 0.194 0.224
V: 0.165 0.211 0.038
O: 0.994 0.954 0.577
O: 0.368 0.725 0.243
O: 0.570 0.148 0.871
O: 0.385 0.659 0.783
V: 0.661 0.439 0.779
V: 0.878 0.691 0.593
O: 0.834 0.925 0.087
O: 0.674 0.341 0.879
O: 0.970 0.666 0.688
O: 0.506 0.953 0.910
V: 0.433 0.031 0.322
O: 0.996 0.781 0.054
O: 0.292 0.238 0.866
O: 0.846 0.668 0.239
O: 0.727 0.148 0.324
O: 0.130 0.127 0.393
O: 0.787 0.786 0.644
O: 0.050 0.257 0.006
O: 0.906 0.404 0.897
O: 0.143 0.395 0.269
V: 0.688 0.777 0.953
O: 0.643 0.862 0.039
O: 0.675 0.206 0.088
O: 0.455 0.311 0.977
O: 0.256 0.299 0.960
O: 0.013 0.999 0.030
O: 0.450 0.524 0.966
V: 0.419 0.542 0.820
O: 0.584 0.328 0.263
O: 0.622 0.991 0.433
O: 0.269 0.546 0.341
O: 0.181 0.206 0.189
O: 0.067 0.568 0.136
V: 0.631 0.438 0.333
V: 0.112 0.261 0.307
O: 0.780 0.145 0.901
O: 0.733 0.536 0.842
O: 0.048 0.551 0.371
O: 0.915 0.380 0.571
O: 0.635 0.956 0.727
O: 0.133 0.304 0.469
O: 0.535 0.481 0.749
V: 0.702 0.104 0.463
O: 0.719 0.399 0.657
O: 0.016 0.160 0.589
V: 0.762 0.590 0.162
V: 0.942 0.053 0.638